1.
Entry from the Materials Project: a relaxed structure of ThSi2O2 (PBE).

Summary:
Energy relative to the elements: -1657 meV per atom
Space-group type: No. 141

Geometry as POSCAR:
```
ThSi2O2
1.0
-0.419 9.977 4.153
-10.642 -0.969 1.669
6.872 -7.327 4.007
Si Th O
8 4 8
Cartesian
1.532 4.136 4.507 Si
-9.233 -1.121 2.382 Si
-0.947 3.729 4.822 Si
-1.071 -0.559 1.028 Si
-3.891 -6.766 5.275 Si
-4.404 0.861 8.488 Si
0.677 4.396 6.877 Si
0.583 2.047 5.936 Si
0.231 1.788 2.768 Th
3.457 3.113 6.848 Th
-1.863 2.629 7.682 Th
0.021 6.777 4.844 Th
-9.003 4.769 5.571 O
-1.177 -2.161 1.633 O
-8.728 -0.358 3.834 O
-5.817 0.837 7.514 O
-1.453 2.966 3.371 O
2.509 -5.557 3.697 O
-2.877 -5.903 4.193 O
-0.431 1.183 7.018 O
```

2.
Entry from the Materials Project: a relaxed structure of TiSi4O10 (PBE).

Summary:
Energy relative to the elements: -3135 meV per atom
Space-group type: No. 130

Geometry as POSCAR:
```
TiSi4O10
1.0
-4.789 3.517 4.466
-5.679 -2.692 -3.970
-0.525 -12.011 8.895
O Si Ti
40 16 4
Cartesian
-5.617 -4.347 0.084 O
-6.328 -0.071 2.595 O
-2.668 -11.367 7.536 O
-6.075 -2.666 6.511 O
-7.488 -3.895 4.768 O
-1.661 -2.032 0.222 O
-4.830 -6.511 1.393 O
-6.401 -4.750 8.845 O
-6.961 -6.252 6.783 O
-5.007 -11.916 6.656 O
-8.591 -8.362 7.060 O
-7.292 -10.703 7.198 O
-5.114 -0.833 4.860 O
-4.125 1.191 3.467 O
-1.599 -3.738 4.367 O
-4.473 -5.415 7.099 O
-7.464 -0.952 0.377 O
-3.417 -5.282 3.136 O
-4.721 -9.363 2.714 O
-7.637 -2.411 2.580 O
-4.098 -9.567 8.921 O
-4.221 -8.011 11.015 O
-8.763 -9.821 9.263 O
-5.821 -9.943 5.089 O
-5.435 -7.249 8.750 O
-6.608 -7.779 3.780 O
-4.161 -7.861 4.776 O
-6.717 -4.927 2.459 O
-4.148 -3.332 4.765 O
-8.739 -6.878 4.872 O
-6.424 -9.272 10.143 O
-6.431 -2.374 -1.483 O
-4.268 -2.031 0.069 O
-3.094 -2.769 2.364 O
-7.170 -12.259 5.104 O
-2.665 -8.829 6.779 O
-9.267 -4.521 2.856 O
-2.342 -6.317 6.007 O
-3.092 -0.231 1.608 O
-8.935 -0.070 2.442 O
-4.759 -2.157 5.731 Si
-3.061 -3.788 3.629 Si
-6.082 -5.543 1.080 Si
-5.144 -3.089 -0.826 Si
-5.356 -8.747 4.094 Si
-6.295 -11.201 5.999 Si
-8.448 -6.861 6.458 Si
-5.072 -8.510 9.706 Si
-2.698 -7.811 5.515 Si
-3.021 -1.759 1.095 Si
-7.780 -3.912 3.182 Si
-5.789 -5.925 7.879 Si
-7.599 -0.901 1.983 Si
-2.738 -9.840 8.048 Si
-8.628 -9.872 7.657 Si
-5.477 0.429 3.904 Si
-2.422 1.125 2.703 Ti
-3.337 -12.723 6.441 Ti
-2.685 -4.881 7.150 Ti
-3.074 -6.718 1.993 Ti
```

3.
Entry from the Materials Project: a relaxed structure of Ti4Si3O24 (PBE).

Summary:
Energy relative to the elements: -1657 meV per atom
Space-group type: No. 215

Geometry as POSCAR:
```
Ti4Si3O24
1.0
7.907 0.000 0.000
0.000 7.907 0.000
0.000 0.000 7.907
O Ti Si
24 4 3
Cartesian
6.633 6.633 1.274 O
3.953 0.000 0.000 O
0.000 0.000 0.000 O
0.934 4.911 2.996 O
4.911 4.911 6.973 O
2.996 2.996 6.973 O
2.996 0.934 4.911 O
6.973 2.996 2.996 O
3.097 3.097 3.097 O
2.996 6.973 2.996 O
6.633 1.274 6.633 O
2.996 4.911 0.934 O
4.911 2.996 0.934 O
4.810 4.810 3.097 O
1.274 6.633 6.633 O
0.000 0.000 3.953 O
6.973 4.911 4.911 O
3.097 4.810 4.810 O
1.274 1.274 1.274 O
4.810 3.097 4.810 O
0.000 3.953 0.000 O
4.911 6.973 4.911 O
4.911 0.934 2.996 O
0.934 2.996 4.911 O
2.742 5.165 2.742 Ti
5.165 2.742 2.742 Ti
5.165 5.165 5.165 Ti
2.742 2.742 5.165 Ti
3.953 3.953 0.000 Si
0.000 3.953 3.953 Si
3.953 0.000 3.953 Si
```

4.
Entry from the Materials Project: a relaxed structure of TiSi2O6 (PBE).

Summary:
Energy relative to the elements: -3301 meV per atom
Space-group type: No. 61

Geometry as POSCAR:
```
TiSi2O6
1.0
5.092 0.000 0.000
0.000 10.892 0.000
0.000 0.000 18.677
Si O Ti
16 48 8
Cartesian
4.458 7.297 13.511 Si
3.889 9.019 9.828 Si
1.203 1.873 8.849 Si
1.912 3.595 14.504 Si
3.749 9.019 0.490 Si
4.458 1.851 14.504 Si
0.634 3.595 5.165 Si
1.343 1.873 18.187 Si
3.180 1.851 5.165 Si
3.889 3.573 18.187 Si
3.180 7.297 4.173 Si
1.203 7.318 0.490 Si
0.634 9.041 4.173 Si
3.749 3.573 8.849 Si
1.343 7.318 9.828 Si
1.912 9.041 13.511 Si
0.831 0.570 7.936 O
4.060 5.979 12.627 O
2.372 3.095 17.837 O
0.174 3.095 8.498 O
1.032 10.358 3.289 O
0.647 9.429 5.768 O
3.578 0.533 6.050 O
4.918 7.796 10.179 O
3.669 9.382 17.573 O
4.261 4.876 17.274 O
2.372 8.541 10.179 O
3.194 6.909 5.768 O
1.123 1.510 10.442 O
2.721 2.350 8.498 O
3.970 3.936 1.104 O
0.174 8.541 0.840 O
1.715 6.016 10.741 O
4.445 1.463 12.909 O
3.194 1.463 3.571 O
3.669 3.936 10.442 O
4.225 3.061 5.516 O
0.647 3.983 3.571 O
1.123 6.956 17.573 O
3.578 5.979 3.289 O
1.032 4.913 6.050 O
4.445 6.909 15.106 O
4.918 2.350 17.837 O
3.970 9.382 8.234 O
0.831 6.016 1.403 O
0.867 2.385 14.855 O
1.424 6.956 8.234 O
3.377 10.321 1.403 O
1.514 10.358 12.627 O
0.867 7.830 13.161 O
3.413 3.061 14.855 O
4.261 10.321 10.741 O
1.679 2.385 5.516 O
1.899 9.429 15.106 O
1.679 7.830 3.822 O
2.721 7.796 0.840 O
3.377 4.876 7.936 O
4.225 8.507 3.822 O
3.413 8.507 13.161 O
4.060 0.533 15.388 O
1.424 1.510 1.104 O
1.715 0.570 17.274 O
1.514 4.913 15.388 O
1.899 3.983 12.909 O
2.243 0.470 2.360 Ti
0.303 5.915 16.317 Ti
2.243 5.915 6.978 Ti
0.303 0.470 11.699 Ti
2.849 4.976 11.699 Ti
4.789 4.976 2.360 Ti
2.849 10.422 16.317 Ti
4.789 10.422 6.978 Ti
```

5.
Entry from the Materials Project: a relaxed structure of TiSi5O13 (PBE).

Summary:
Energy relative to the elements: -2995 meV per atom
Space-group type: No. 15

Geometry as POSCAR:
```
TiSi5O13
1.0
-8.013 6.730 -10.840
-6.411 4.539 13.041
11.745 9.332 2.596
O Si Ti
104 40 8
Cartesian
-6.028 9.027 5.143 O
-1.962 10.967 -7.646 O
-5.261 6.471 -2.645 O
-1.479 19.144 4.301 O
-1.485 14.941 9.631 O
-7.254 14.533 3.019 O
-6.542 5.049 11.160 O
3.503 8.063 3.221 O
4.291 14.067 -0.393 O
-1.429 8.313 10.234 O
-10.742 10.091 0.736 O
-3.886 4.416 -1.430 O
-7.093 7.577 -6.833 O
4.276 5.810 4.423 O
2.582 14.131 7.441 O
-6.955 14.791 0.374 O
-6.076 8.203 8.999 O
-6.970 6.534 5.190 O
6.057 12.798 -3.813 O
2.182 14.909 -8.327 O
2.113 5.867 2.844 O
-3.634 5.237 -5.828 O
-0.604 14.881 -5.702 O
1.878 13.609 0.606 O
-0.019 12.869 10.381 O
-0.847 15.348 4.653 O
6.709 13.169 -1.256 O
4.253 9.933 1.525 O
-4.791 14.734 1.953 O
-1.427 4.649 -2.367 O
-1.091 19.468 1.680 O
1.188 11.957 8.174 O
0.265 10.287 9.994 O
2.890 15.009 2.643 O
3.863 15.552 -6.363 O
0.956 15.364 10.625 O
0.212 14.696 2.300 O
-9.388 7.432 6.053 O
-6.208 5.189 -0.469 O
-2.659 7.732 -5.584 O
-6.932 10.668 3.272 O
-5.573 5.608 8.683 O
-3.593 7.358 9.082 O
2.218 13.315 -1.986 O
-1.194 5.661 -4.834 O
1.207 16.185 6.227 O
1.215 3.500 3.705 O
-4.393 7.944 1.685 O
4.576 6.069 1.778 O
-5.568 5.593 2.153 O
-1.249 12.288 -5.437 O
-2.357 3.389 1.967 O
-0.716 9.634 12.443 O
-5.183 8.497 -8.409 O
-4.557 6.992 4.191 O
-5.085 8.817 -5.710 O
-6.791 7.491 0.592 O
-2.891 5.906 2.497 O
-8.318 11.037 1.032 O
5.405 9.930 -0.827 O
-10.347 12.221 2.322 O
2.107 12.133 5.709 O
1.715 12.657 3.112 O
-2.307 15.457 2.460 O
-0.371 5.145 2.337 O
-8.083 10.671 5.624 O
-3.894 17.102 1.092 O
1.646 3.871 1.107 O
-1.251 15.952 7.164 O
-4.861 5.693 13.124 O
3.220 10.598 3.892 O
-4.325 16.730 3.690 O
0.777 13.002 -6.991 O
-0.322 17.212 2.830 O
0.123 13.740 6.506 O
-3.691 10.276 -9.642 O
-1.200 1.457 0.496 O
7.668 8.381 2.475 O
-8.414 8.558 4.002 O
-2.944 10.315 -5.197 O
-4.786 8.469 -0.912 O
1.012 10.325 14.439 O
4.414 13.025 11.630 O
-3.867 8.645 -3.377 O
3.398 12.399 -4.202 O
3.529 15.412 5.266 O
-2.074 5.720 10.499 O
2.504 12.105 13.206 O
3.350 11.575 -0.346 O
-4.897 7.286 6.783 O
-1.587 1.134 3.117 O
4.112 13.111 4.205 O
-3.456 7.600 11.788 O
2.406 11.784 10.507 O
0.914 13.243 -4.285 O
8.063 10.511 4.060 O
-6.182 12.539 1.576 O
2.895 14.993 -3.886 O
5.735 12.043 0.795 O
5.640 9.564 3.765 O
-5.899 10.003 0.905 O
-1.831 5.254 0.143 O
-2.802 6.862 -1.709 O
-8.736 7.804 8.609 O
-2.655 7.253 10.401 Si
-6.022 8.791 -7.028 Si
2.940 13.153 -0.542 Si
-4.355 6.595 2.622 Si
3.620 6.448 3.063 Si
-0.204 9.087 10.982 Si
2.791 12.130 4.230 Si
7.202 9.147 3.856 Si
-7.368 9.723 4.513 Si
-5.619 7.449 5.339 Si
-0.375 14.412 10.713 Si
4.884 11.768 -4.309 Si
-3.828 16.003 2.307 Si
-0.478 18.808 3.048 Si
-1.862 4.916 1.730 Si
3.343 11.811 11.825 Si
-2.201 1.794 1.749 Si
0.963 11.733 9.769 Si
-0.816 15.686 3.067 Si
-5.470 8.471 0.567 Si
-5.040 7.112 8.390 Si
-2.503 5.297 -1.327 Si
1.149 4.598 2.490 Si
-2.304 6.189 -5.916 Si
-6.059 4.456 9.711 Si
-4.186 7.613 -2.166 Si
-6.840 11.060 1.700 Si
-0.024 13.348 -5.605 Si
-3.641 8.869 -4.972 Si
-0.176 15.305 6.124 Si
-7.562 8.834 9.106 Si
4.161 9.541 3.097 Si
1.677 14.007 2.175 Si
-9.880 11.455 0.941 Si
-2.474 11.514 -6.185 Si
4.690 10.878 0.284 Si
2.362 13.489 -3.593 Si
1.507 12.989 6.962 Si
3.380 16.145 -4.914 Si
-6.298 14.153 1.734 Si
-5.705 4.670 -2.243 Ti
-5.524 18.097 4.234 Ti
0.000 0.000 0.000 Ti
-4.006 3.365 -5.420 Ti
3.027 15.932 7.040 Ti
5.872 4.666 1.298 Ti
2.845 2.504 0.563 Ti
-7.212 5.635 1.100 Ti
```

6.
Entry from the Materials Project: a relaxed structure of TiSi2O6 (PBE).

Summary:
Energy relative to the elements: -3306 meV per atom
Space-group type: No. 15

Geometry as POSCAR:
```
TiSi2O6
1.0
2.243 -3.121 5.343
4.633 -3.447 -3.158
4.606 2.476 1.200
Si O Ti
4 12 2
Cartesian
6.178 -4.024 1.132 Si
3.396 -1.360 0.247 Si
8.086 -2.731 3.138 Si
5.304 -0.068 2.253 Si
6.845 -5.498 1.503 O
4.637 1.407 1.882 O
4.528 -1.217 1.409 O
8.819 -4.215 3.274 O
6.954 -2.874 1.976 O
4.604 -4.106 1.542 O
4.132 -1.901 -1.114 O
6.269 -3.596 -0.447 O
7.350 -2.190 4.499 O
5.213 -0.496 3.833 O
2.663 0.124 0.111 O
6.878 0.015 1.844 O
5.520 -2.792 -1.919 Ti
5.961 -1.299 5.304 Ti
```

no.,magnetic moment (μB per atom)
1,0.0000
2,0.0014
3,0.4493
4,0.0000
5,0.1053
6,0.0000